DFT (r2SCAN) results for a relaxed Sm2CdCu2 crystal.

Cell: 7.5792 7.5792 3.8236 Å, 90.00 90.00 90.00°
Positions (direct):
Sm 0.1757 0.3243 0.0000
Sm 0.3243 0.8243 0.0000
Sm 0.6757 0.1757 0.0000
Sm 0.8243 0.6757 0.0000
Cd 0.0000 0.0000 0.5000
Cd 0.5000 0.5000 0.5000
Cu 0.1189 0.6189 0.5000
Cu 0.3811 0.1189 0.5000
Cu 0.6189 0.8811 0.5000
Cu 0.8811 0.3811 0.5000

Results
The value obtained for the total energy is -20.541 eV per atom. For the formation energy, the calculation gives -288 meV/atom.

=====

DFT (r2SCAN) results for a relaxed SmCdCu crystal.

Cell: 7.5249 7.5249 3.9579 Å, 90.00 90.00 120.00°
Positions (direct):
Sm 0.0000 0.5874 0.0000
Sm 0.4126 0.4126 0.0000
Sm 0.5874 0.0000 0.0000
Cd 0.0000 0.2475 0.5000
Cd 0.2475 0.0000 0.5000
Cd 0.7525 0.7525 0.5000
Cu 0.0000 0.0000 0.0000
Cu 0.3333 0.6667 0.5000
Cu 0.6667 0.3333 0.5000

Results
The value obtained for the total energy is -20.533 eV per atom. For the formation energy, the calculation gives -305 meV/atom.

=====

DFT (r2SCAN) results for a relaxed Tb2CdCu2 crystal.

Cell: 7.4686 7.4686 3.7489 Å, 90.00 90.00 90.00°
Positions (direct):
Tb 0.1752 0.3248 0.0000
Tb 0.3248 0.8248 0.0000
Tb 0.6752 0.1752 0.0000
Tb 0.8248 0.6752 0.0000
Cd 0.0000 0.0000 0.5000
Cd 0.5000 0.5000 0.5000
Cu 0.1199 0.6199 0.5000
Cu 0.3801 0.1199 0.5000
Cu 0.6199 0.8801 0.5000
Cu 0.8801 0.3801 0.5000

Results
The value obtained for the total energy is -21.177 eV per atom. For the formation energy, the calculation gives -326 meV/atom.

=====

DFT (r2SCAN) results for a relaxed TmCdCu4 crystal.

Cell: 5.0171 5.0171 5.0171 Å, 60.00 60.00 60.00°
Positions (direct):
Tm 0.0000 0.0000 0.0000
Cd 0.7500 0.7500 0.7500
Cu 0.3759 0.3759 0.3759
Cu 0.3759 0.3759 0.8722
Cu 0.3759 0.8722 0.3759
Cu 0.8722 0.3759 0.3759

Results
The value obtained for the total energy is -16.708 eV per atom. For the formation energy, the calculation gives -272 meV/atom.

=====

DFT (r2SCAN) results for a relaxed Y2CdCu2 crystal.

Cell: 7.4717 7.4717 3.7694 Å, 90.00 90.00 90.00°
Positions (direct):
Y 0.1759 0.3241 0.0000
Y 0.3241 0.8241 0.0000
Y 0.6759 0.1759 0.0000
Y 0.8241 0.6759 0.0000
Cd 0.0000 0.0000 0.5000
Cd 0.5000 0.5000 0.5000
Cu 0.1186 0.6186 0.5000
Cu 0.3814 0.1186 0.5000
Cu 0.6186 0.8814 0.5000
Cu 0.8814 0.3814 0.5000

Results
The value obtained for the total energy is -16.797 eV per atom. For the formation energy, the calculation gives -312 meV/atom.

=====

DFT (r2SCAN) results for a relaxed YbCdCu4 crystal.

Cell: 5.0120 5.0120 5.0120 Å, 60.00 60.00 60.00°
Positions (direct):
Yb 0.0000 0.0000 0.0000
Cd 0.7500 0.7500 0.7500
Cu 0.3757 0.3757 0.3757
Cu 0.3757 0.3757 0.8729
Cu 0.3757 0.8729 0.3757
Cu 0.8729 0.3757 0.3757

Results
The value obtained for the total energy is -16.947 eV per atom. For the formation energy, the calculation gives -276 meV/atom.

=====

DFT (r2SCAN) results for a relaxed DyCd2 crystal.

Cell: 4.9103 4.9103 3.4719 Å, 90.00 90.00 120.00°
Positions (direct):
Dy 0.0000 0.0000 0.0000
Cd 0.3333 0.6667 0.5000
Cd 0.6667 0.3333 0.5000

Results
The value obtained for the total energy is -24.434 eV per atom. For the formation energy, the calculation gives -370 meV/atom.

=====

DFT (r2SCAN) results for a relaxed DyCd3 crystal.

Cell: 7.1158 10.8126 4.8275 Å, 90.00 90.00 90.00°
Positions (direct):
Dy 0.0000 0.1353 0.2500
Dy 0.0000 0.8647 0.7500
Dy 0.5000 0.3647 0.7500
Dy 0.5000 0.6353 0.2500
Cd 0.0000 0.3250 0.7500
Cd 0.0000 0.6750 0.2500
Cd 0.2143 0.4058 0.2500
Cd 0.2143 0.5942 0.7500
Cd 0.2857 0.0942 0.7500
Cd 0.2857 0.9058 0.2500
Cd 0.5000 0.1750 0.2500
Cd 0.5000 0.8250 0.7500
Cd 0.7143 0.0942 0.7500
Cd 0.7143 0.9058 0.2500
Cd 0.7857 0.4058 0.2500
Cd 0.7857 0.5942 0.7500

Results
The value obtained for the total energy is -23.397 eV per atom. For the formation energy, the calculation gives -322 meV/atom.

=====

DFT (r2SCAN) results for a relaxed DyErCd2 crystal.

Cell: 7.4040 7.4040 7.4040 Å, 90.00 90.00 90.00°
Positions (direct):
Dy 0.0000 0.0000 0.0000
Dy 0.0000 0.5000 0.5000
Dy 0.5000 0.0000 0.5000
Dy 0.5000 0.5000 0.0000
Er 0.0000 0.0000 0.5000
Er 0.0000 0.5000 0.0000
Er 0.5000 0.0000 0.0000
Er 0.5000 0.5000 0.5000
Cd 0.2500 0.2500 0.2500
Cd 0.2500 0.2500 0.7500
Cd 0.2500 0.7500 0.2500
Cd 0.2500 0.7500 0.7500
Cd 0.7500 0.2500 0.2500
Cd 0.7500 0.2500 0.7500
Cd 0.7500 0.7500 0.2500
Cd 0.7500 0.7500 0.7500

Results
The value obtained for the total energy is -26.910 eV per atom. For the formation energy, the calculation gives -380 meV/atom.

=====

DFT (r2SCAN) results for a relaxed DyCdGa crystal.

Cell: 7.1979 7.1979 4.3787 Å, 90.00 90.00 120.00°
Positions (direct):
Dy 0.0000 0.5764 0.0000
Dy 0.4236 0.4236 0.0000
Dy 0.5764 0.0000 0.0000
Cd 0.0000 0.2492 0.5000
Cd 0.2492 0.0000 0.5000
Cd 0.7508 0.7508 0.5000
Ga 0.0000 0.0000 0.0000
Ga 0.3333 0.6667 0.5000
Ga 0.6667 0.3333 0.5000

Results
The value obtained for the total energy is -21.780 eV per atom. For the formation energy, the calculation gives -604 meV/atom.

=====

DFT (r2SCAN) results for a relaxed Dy2CdGe2 crystal.

Cell: 7.2860 7.2860 4.1699 Å, 90.00 90.00 90.00°
Positions (direct):
Dy 0.1785 0.3215 0.0000
Dy 0.3215 0.8215 0.0000
Dy 0.6785 0.1785 0.0000
Dy 0.8215 0.6785 0.0000
Cd 0.0000 0.0000 0.5000
Cd 0.5000 0.5000 0.5000
Ge 0.1212 0.6212 0.5000
Ge 0.3788 0.1212 0.5000
Ge 0.6212 0.8788 0.5000
Ge 0.8788 0.3788 0.5000

Results
The value obtained for the total energy is -23.182 eV per atom. For the formation energy, the calculation gives -820 meV/atom.

=====

DFT (r2SCAN) results for a relaxed Dy2CdIn crystal.

Cell: 7.4591 7.4591 7.4591 Å, 90.00 90.00 90.00°
Positions (direct):
Dy 0.2500 0.2500 0.2500
Dy 0.2500 0.2500 0.7500
Dy 0.2500 0.7500 0.2500
Dy 0.2500 0.7500 0.7500
Dy 0.7500 0.2500 0.2500
Dy 0.7500 0.2500 0.7500
Dy 0.7500 0.7500 0.2500
Dy 0.7500 0.7500 0.7500
Cd 0.0000 0.0000 0.0000
Cd 0.0000 0.5000 0.5000
Cd 0.5000 0.0000 0.5000
Cd 0.5000 0.5000 0.0000
In 0.0000 0.0000 0.5000
In 0.0000 0.5000 0.0000
In 0.5000 0.0000 0.0000
In 0.5000 0.5000 0.5000

Results
The value obtained for the total energy is -27.171 eV per atom. For the formation energy, the calculation gives -510 meV/atom.

=====

DFT (r2SCAN) results for a relaxed DyCdIn crystal.

Cell: 4.8221 4.8221 7.4616 Å, 90.00 90.00 120.00°
Positions (direct):
Dy 0.0000 0.0000 0.2362
Dy 0.0000 0.0000 0.7638
Cd 0.3333 0.6667 0.9713
Cd 0.6667 0.3333 0.0287
In 0.3333 0.6667 0.5559
In 0.6667 0.3333 0.4441

Results
The value obtained for the total energy is -25.390 eV per atom. For the formation energy, the calculation gives -501 meV/atom.

=====

DFT (r2SCAN) results for a relaxed DyLuCd2 crystal.

Cell: 7.3550 7.3550 7.3550 Å, 90.00 90.00 90.00°
Positions (direct):
Dy 0.0000 0.0000 0.0000
Dy 0.0000 0.5000 0.5000
Dy 0.5000 0.0000 0.5000
Dy 0.5000 0.5000 0.0000
Lu 0.0000 0.0000 0.5000
Lu 0.0000 0.5000 0.0000
Lu 0.5000 0.0000 0.0000
Lu 0.5000 0.5000 0.5000
Cd 0.2500 0.2500 0.2500
Cd 0.2500 0.2500 0.7500
Cd 0.2500 0.7500 0.2500
Cd 0.2500 0.7500 0.7500
Cd 0.7500 0.2500 0.2500
Cd 0.7500 0.2500 0.7500
Cd 0.7500 0.7500 0.2500
Cd 0.7500 0.7500 0.7500

Results
The value obtained for the total energy is -27.941 eV per atom. For the formation energy, the calculation gives -373 meV/atom.

=====

DFT (r2SCAN) results for a relaxed DyMgCd2 crystal.

Cell: 7.1481 7.1481 7.1481 Å, 90.00 90.00 90.00°
Positions (direct):
Dy 0.0000 0.0000 0.0000
Dy 0.0000 0.5000 0.5000
Dy 0.5000 0.0000 0.5000
Dy 0.5000 0.5000 0.0000
Mg 0.0000 0.0000 0.5000
Mg 0.0000 0.5000 0.0000
Mg 0.5000 0.0000 0.0000
Mg 0.5000 0.5000 0.5000
Cd 0.2500 0.2500 0.2500
Cd 0.2500 0.2500 0.7500
Cd 0.2500 0.7500 0.2500
Cd 0.2500 0.7500 0.7500
Cd 0.7500 0.2500 0.2500
Cd 0.7500 0.2500 0.7500
Cd 0.7500 0.7500 0.2500
Cd 0.7500 0.7500 0.7500

Results
The value obtained for the total energy is -19.442 eV per atom. For the formation energy, the calculation gives -352 meV/atom.

=====

DFT (r2SCAN) results for a relaxed Dy4CdNi crystal.

Cell: 9.4896 9.4896 9.4896 Å, 60.00 60.00 60.00°
Positions (direct):
Dy 0.1867 0.1867 0.8133
Dy 0.1867 0.8133 0.1867
Dy 0.1867 0.8133 0.8133
Dy 0.4012 0.4012 0.4012
Dy 0.4012 0.4012 0.7963
Dy 0.4012 0.7963 0.4012
Dy 0.5608 0.5608 0.9392
Dy 0.5608 0.9392 0.5608
Dy 0.5608 0.9392 0.9392
Dy 0.7963 0.4012 0.4012
Dy 0.8133 0.1867 0.1867
Dy 0.8133 0.1867 0.8133
Dy 0.8133 0.8133 0.1867
Dy 0.9392 0.5608 0.5608
Dy 0.9392 0.5608 0.9392
Dy 0.9392 0.9392 0.5608
Cd 0.1692 0.1692 0.1692
Cd 0.1692 0.1692 0.4923
Cd 0.1692 0.4923 0.1692
Cd 0.4923 0.1692 0.1692
Ni 0.1775 0.6075 0.6075
Ni 0.6075 0.1775 0.6075
Ni 0.6075 0.6075 0.1775
Ni 0.6075 0.6075 0.6075

Results
The value obtained for the total energy is -26.992 eV per atom. For the formation energy, the calculation gives -323 meV/atom.

=====

DFT (r2SCAN) results for a relaxed Dy4CdPd crystal.

Cell: 9.6403 9.6403 9.6403 Å, 60.00 60.00 60.00°
Positions (direct):
Dy 0.0602 0.0602 0.4398
Dy 0.0602 0.4398 0.0602
Dy 0.0602 0.4398 0.4398
Dy 0.1846 0.1846 0.8154
Dy 0.1846 0.8154 0.1846
Dy 0.1846 0.8154 0.8154
Dy 0.1883 0.6039 0.6039
Dy 0.4398 0.0602 0.0602
Dy 0.4398 0.0602 0.4398
Dy 0.4398 0.4398 0.0602
Dy 0.6039 0.1883 0.6039
Dy 0.6039 0.6039 0.1883
Dy 0.6039 0.6039 0.6039
Dy 0.8154 0.1846 0.1846
Dy 0.8154 0.1846 0.8154
Dy 0.8154 0.8154 0.1846
Cd 0.5048 0.8317 0.8317
Cd 0.8317 0.5048 0.8317
Cd 0.8317 0.8317 0.5048
Cd 0.8317 0.8317 0.8317
Pd 0.3946 0.3946 0.3946
Pd 0.3946 0.3946 0.8162
Pd 0.3946 0.8162 0.3946
Pd 0.8162 0.3946 0.3946

Results
The value obtained for the total energy is -28.998 eV per atom. For the formation energy, the calculation gives -499 meV/atom.

=====

DFT (r2SCAN) results for a relaxed Dy4CdPt crystal.

Cell: 9.6342 9.6342 9.6342 Å, 60.00 60.00 60.00°
Positions (direct):
Dy 0.0599 0.0599 0.4401
Dy 0.0599 0.4401 0.0599
Dy 0.0599 0.4401 0.4401
Dy 0.1858 0.1858 0.8142
Dy 0.1858 0.8142 0.1858
Dy 0.1858 0.8142 0.8142
Dy 0.1934 0.6022 0.6022
Dy 0.4401 0.0599 0.0599
Dy 0.4401 0.0599 0.4401
Dy 0.4401 0.4401 0.0599
Dy 0.6022 0.1934 0.6022
Dy 0.6022 0.6022 0.1934
Dy 0.6022 0.6022 0.6022
Dy 0.8142 0.1858 0.1858
Dy 0.8142 0.1858 0.8142
Dy 0.8142 0.8142 0.1858
Cd 0.5054 0.8315 0.8315
Cd 0.8315 0.5054 0.8315
Cd 0.8315 0.8315 0.5054
Cd 0.8315 0.8315 0.8315
Pt 0.3932 0.3932 0.3932
Pt 0.3932 0.3932 0.8205
Pt 0.3932 0.8205 0.3932
Pt 0.8205 0.3932 0.3932

Results
The value obtained for the total energy is -33.945 eV per atom. For the formation energy, the calculation gives -692 meV/atom.

=====

DFT (r2SCAN) results for a relaxed DyCdPt2 crystal.

Cell: 6.7394 6.7394 6.7394 Å, 90.00 90.00 90.00°
Positions (direct):
Dy 0.0000 0.0000 0.0000
Dy 0.0000 0.5000 0.5000
Dy 0.5000 0.0000 0.5000
Dy 0.5000 0.5000 0.0000
Cd 0.0000 0.0000 0.5000
Cd 0.0000 0.5000 0.0000
Cd 0.5000 0.0000 0.0000
Cd 0.5000 0.5000 0.5000
Pt 0.2500 0.2500 0.2500
Pt 0.2500 0.2500 0.7500
Pt 0.2500 0.7500 0.2500
Pt 0.2500 0.7500 0.7500
Pt 0.7500 0.2500 0.2500
Pt 0.7500 0.2500 0.7500
Pt 0.7500 0.7500 0.2500
Pt 0.7500 0.7500 0.7500

Results
The value obtained for the total energy is -39.685 eV per atom. For the formation energy, the calculation gives -919 meV/atom.

=====

DFT (r2SCAN) results for a relaxed DyCdRh2 crystal.

Cell: 6.5841 6.5841 6.5841 Å, 90.00 90.00 90.00°
Positions (direct):
Dy 0.0000 0.0000 0.0000
Dy 0.0000 0.5000 0.5000
Dy 0.5000 0.0000 0.5000
Dy 0.5000 0.5000 0.0000
Cd 0.0000 0.0000 0.5000
Cd 0.0000 0.5000 0.0000
Cd 0.5000 0.0000 0.0000
Cd 0.5000 0.5000 0.5000
Rh 0.2500 0.2500 0.2500
Rh 0.2500 0.2500 0.7500
Rh 0.2500 0.7500 0.2500
Rh 0.2500 0.7500 0.7500
Rh 0.7500 0.2500 0.2500
Rh 0.7500 0.2500 0.7500
Rh 0.7500 0.7500 0.2500
Rh 0.7500 0.7500 0.7500

Results
The value obtained for the total energy is -25.710 eV per atom. For the formation energy, the calculation gives -620 meV/atom.

=====

DFT (r2SCAN) results for a relaxed Dy2CdS4 crystal.

Cell: 7.9471 7.9471 7.9471 Å, 60.00 60.00 60.00°
Positions (direct):
Dy 0.0000 0.0000 0.0000
Dy 0.0000 0.0000 0.5000
Dy 0.0000 0.5000 0.0000
Dy 0.5000 0.0000 0.0000
Cd 0.3750 0.3750 0.3750
Cd 0.6250 0.6250 0.6250
S 0.2288 0.7571 0.7571
S 0.2429 0.2429 0.2429
S 0.2429 0.2429 0.7712
S 0.2429 0.7712 0.2429
S 0.7571 0.2288 0.7571
S 0.7571 0.7571 0.2288
S 0.7571 0.7571 0.7571
S 0.7712 0.2429 0.2429

Results
The value obtained for the total energy is -18.533 eV per atom. For the formation energy, the calculation gives -1932 meV/atom.

=====

DFT (r2SCAN) results for a relaxed Dy2CdSe4 crystal.

Cell: 8.2873 8.2873 8.2873 Å, 60.00 60.00 60.00°
Positions (direct):
Dy 0.0000 0.0000 0.0000
Dy 0.0000 0.0000 0.5000
Dy 0.0000 0.5000 0.0000
Dy 0.5000 0.0000 0.0000
Cd 0.3750 0.3750 0.3750
Cd 0.6250 0.6250 0.6250
Se 0.2303 0.7566 0.7566
Se 0.2434 0.2434 0.2434
Se 0.2434 0.2434 0.7697
Se 0.2434 0.7697 0.2434
Se 0.7566 0.2303 0.7566
Se 0.7566 0.7566 0.2303
Se 0.7566 0.7566 0.7566
Se 0.7697 0.2434 0.2434

Results
The value obtained for the total energy is -21.964 eV per atom. For the formation energy, the calculation gives -1776 meV/atom.

=====

DFT (r2SCAN) results for a relaxed Dy2TlCd crystal.

Cell: 7.4811 7.4811 7.4811 Å, 90.00 90.00 90.00°
Positions (direct):
Dy 0.2500 0.2500 0.2500
Dy 0.2500 0.2500 0.7500
Dy 0.2500 0.7500 0.2500
Dy 0.2500 0.7500 0.7500
Dy 0.7500 0.2500 0.2500
Dy 0.7500 0.2500 0.7500
Dy 0.7500 0.7500 0.2500
Dy 0.7500 0.7500 0.7500
Tl 0.0000 0.0000 0.0000
Tl 0.0000 0.5000 0.5000
Tl 0.5000 0.0000 0.5000
Tl 0.5000 0.5000 0.0000
Cd 0.0000 0.0000 0.5000
Cd 0.0000 0.5000 0.0000
Cd 0.5000 0.0000 0.0000
Cd 0.5000 0.5000 0.5000

Results
The value obtained for the total energy is -34.743 eV per atom. For the formation energy, the calculation gives -431 meV/atom.